1.
## Cr3Ru3C2 (PBE-GGA)

Data for a geometry-optimized Cr3Ru3C2 structure.

a b c (Å): 2.7751 2.7751 13.2577
angles (deg): 90.00 90.00 120.00
Space group P-3m1 (No. 164)
One atom of each set of equivalent atoms:
Cr: 0.0000 0.0000 0.0000 x1
Cr: 0.3333 0.6667 0.8257 x2
Ru: 0.0000 0.0000 0.5000 x1
Ru: 0.3333 0.6667 0.3342 x2
C: 0.3333 0.6667 0.0943 x2

Results
Its formation energy is 0.05 eV/atom.



2.
## TbAlO3 (PBE-GGA)

Data for a geometry-optimized TbAlO3 structure.

a b c (Å): 5.376 7.465 5.236
angles (deg): 90.00 90.00 90.00
Space group Pnma (No. 62)
One atom of each set of equivalent atoms:
Tb: 0.051 0.250 0.012 x4
Al: 0.000 0.000 0.500 x4
O: 0.021 0.750 0.417 x4
O: 0.208 0.544 0.792 x8

Results
Its formation energy is -3.74 eV/atom.



3.
## BaHS2O3 (PBE-GGA)

Data for a geometry-optimized BaHS2O3 structure.

a b c (Å): 20.664 7.154 7.443
angles (deg): 90.00 90.00 90.00
Space group Pbcn (No. 60)
One atom of each set of equivalent atoms:
Ba: 0.167 0.223 0.044 x8
H: 0.025 0.160 0.074 x8
S: 0.085 0.388 0.673 x8
S: 0.159 0.270 0.547 x8
O: 0.137 0.138 0.403 x8
O: 0.199 0.160 0.679 x8
O: 0.203 0.415 0.465 x8

Results
Its formation energy is -1.48 eV/atom.